No. 1
DFT (r²SCAN) results for a relaxed structure of Y2GeO5.

```
Y2GeO5
1.0
7.4423 -3.4209 0.0000
7.4423 3.4209 0.0000
-5.5268 0.0000 8.8905
Y Ge O
8 4 20
Cartesian
-2.5797 0.8705 7.4458
3.9618 1.7635 4.7538
0.1836 -0.8705 3.0006
2.6327 1.7635 8.5819
6.7252 -1.7635 0.3086
9.1742 0.8705 5.8899
5.3961 -1.7635 4.1367
11.9376 -0.8705 1.4446
0.8649 0.6483 6.1519
3.6283 -0.6483 1.7067
5.7296 0.6483 7.1838
8.4930 -0.6483 2.7385
-0.8169 1.0615 6.0110
6.6255 2.7556 0.9153
1.9654 2.0326 6.0104
5.4958 2.7556 3.5299
4.0939 0.5126 0.4870
4.6291 2.0326 7.3253
1.9465 -1.0615 1.5658
1.3305 -0.5126 4.9323
1.3944 0.0408 7.7080
4.1578 -0.0408 3.2627
5.2001 0.0408 5.6277
7.9635 -0.0408 1.1825
8.0273 0.5126 3.9582
7.4114 1.0615 7.3247
4.7288 -2.0326 1.5652
5.2640 -0.5126 8.4034
3.8621 -2.7556 5.3605
7.3925 -2.0326 2.8800
2.7324 -2.7556 7.9752
10.1748 -1.0615 2.8794
```

Computed properties:
Spin magnetization in μB per formula unit: 0.00
Symmetry: C2/c (15)
Energy relative to the elements in eV per atom: -3.20
Energy above the most stable polymorph in this dataset in meV/atom: 3

=====

No. 2
DFT (r²SCAN) results for a relaxed structure of YbGeO3.

```
YbGeO3
1.0
3.8267 0.0000 0.0000
0.0000 3.8267 0.0000
0.0000 0.0000 3.8267
Yb Ge O
1 1 3
Cartesian
0.0000 0.0000 0.0000
1.9133 1.9133 1.9133
0.0000 1.9133 1.9133
1.9133 0.0000 1.9133
1.9133 1.9133 0.0000
```

Computed properties:
Spin magnetization in μB per formula unit: 0.00
Symmetry: Pm-3m (221)
Energy relative to the elements in eV per atom: -2.07

=====

No. 3
DFT (r²SCAN) results for a relaxed structure of Yb3GeO.

```
Yb3GeO
1.0
-3.0430 4.2863 3.6549
3.0430 -4.2863 3.6549
3.0430 4.2863 -3.6549
Yb Ge O
6 2 2
Cartesian
1.5215 3.7691 -1.8275
1.5215 -0.5171 1.8275
0.0000 2.1431 0.6018
3.0430 2.1431 3.0532
-1.5215 4.8034 1.8275
1.5215 4.8034 1.8275
3.0430 2.1431 0.2542
0.0000 2.1431 3.4007
0.0000 0.0000 0.0000
0.0000 4.2863 0.0000
```

Computed properties:
Spin magnetization in μB per formula unit: 0.42
Symmetry: Imma (74)
Energy relative to the elements in eV per atom: -1.60

=====

No. 4
DFT (r²SCAN) results for a relaxed structure of ScGeOs.

```
ScGeOs
1.0
6.9860 0.0000 0.0000
-3.4930 6.0500 0.0000
0.0000 0.0000 3.4270
Sc Ge Os
3 3 3
Cartesian
-2.0902 3.6203 0.0000
1.4028 2.4297 0.0000
4.1804 0.0000 0.0000
0.0000 0.0000 0.0000
0.0000 4.0333 1.7135
3.4930 2.0167 1.7135
-0.8942 1.5488 1.7135
1.7883 0.0000 1.7135
2.5988 4.5013 1.7135
```

Computed properties:
Spin magnetization in μB per formula unit: 0.00
Symmetry: P-62m (189)
Energy relative to the elements in eV per atom: -0.71

=====

No. 5
DFT (r²SCAN) results for a relaxed structure of ThGe2Os2.

```
ThGe2Os2
1.0
-2.1541 2.1541 4.9640
2.1541 -2.1541 4.9640
2.1541 2.1541 -4.9640
Th Ge Os
1 2 2
Cartesian
0.0000 0.0000 0.0000
0.0000 0.0000 3.6727
0.0000 0.0000 6.2554
2.1541 0.0000 2.4820
0.0000 2.1541 2.4820
```

Computed properties:
Spin magnetization in μB per formula unit: 0.00
Symmetry: I4/mmm (139)
Energy relative to the elements in eV per atom: -0.52

=====

No. 6
DFT (r²SCAN) results for a relaxed structure of Tm4Ge6Os7.

```
Tm4Ge6Os7
1.0
-4.1382 4.1382 4.1382
4.1382 -4.1382 4.1382
4.1382 4.1382 -4.1382
Tm Ge Os
4 6 7
Cartesian
2.0691 2.0691 -2.0691
2.0691 -2.0691 2.0691
-2.0691 2.0691 2.0691
2.0691 2.0691 2.0691
2.5722 0.0000 0.0000
5.7042 0.0000 0.0000
0.0000 2.5722 0.0000
0.0000 0.0000 2.5722
0.0000 5.7042 0.0000
0.0000 0.0000 5.7042
0.0000 0.0000 0.0000
4.1382 2.0691 0.0000
4.1382 0.0000 2.0691
2.0691 4.1382 0.0000
2.0691 0.0000 4.1382
0.0000 4.1382 2.0691
0.0000 2.0691 4.1382
```

Computed properties:
Spin magnetization in μB per formula unit: 0.00
Symmetry: Im-3m (229)
Energy relative to the elements in eV per atom: -0.52

=====

No. 7
DFT (r²SCAN) results for a relaxed structure of Y3Ge13Os4.

```
Y3Ge13Os4
1.0
9.0284 0.0000 0.0000
0.0000 9.0284 0.0000
0.0000 0.0000 9.0284
Y Ge Os
6 26 8
Cartesian
0.0000 2.2571 4.5142
0.0000 6.7713 4.5142
2.2571 4.5142 0.0000
4.5142 0.0000 2.2571
4.5142 0.0000 6.7713
6.7713 4.5142 0.0000
0.0000 0.0000 0.0000
0.0000 2.6576 1.2965
0.0000 2.6576 7.7319
0.0000 6.3708 1.2965
0.0000 6.3708 7.7319
1.2965 0.0000 2.6576
1.2965 0.0000 6.3708
1.8566 4.5142 3.2177
1.8566 4.5142 5.8107
2.6576 1.2965 0.0000
2.6576 7.7319 0.0000
3.2177 1.8566 4.5142
3.2177 7.1718 4.5142
4.5142 3.2177 1.8566
4.5142 3.2177 7.1718
4.5142 4.5142 4.5142
4.5142 5.8107 1.8566
4.5142 5.8107 7.1718
5.8107 1.8566 4.5142
5.8107 7.1718 4.5142
6.3708 1.2965 0.0000
6.3708 7.7319 0.0000
7.1718 4.5142 3.2177
7.1718 4.5142 5.8107
7.7319 0.0000 2.6576
7.7319 0.0000 6.3708
2.2571 2.2571 2.2571
2.2571 2.2571 6.7713
2.2571 6.7713 2.2571
2.2571 6.7713 6.7713
6.7713 2.2571 2.2571
6.7713 2.2571 6.7713
6.7713 6.7713 2.2571
6.7713 6.7713 6.7713
```

Computed properties:
Spin magnetization in μB per formula unit: 0.00
Symmetry: Pm-3n (223)
Energy relative to the elements in eV per atom: -0.35

=====

No. 8
DFT (r²SCAN) results for a relaxed structure of Y5Ge10Os4.

```
Y5Ge10Os4
1.0
13.0326 0.0000 0.0000
0.0000 13.0326 0.0000
0.0000 0.0000 4.3176
Y Ge Os
10 20 8
Cartesian
0.0000 0.0000 0.0000
1.5274 4.9889 2.1588
2.2511 8.7674 2.1588
4.2652 2.2511 2.1588
4.9889 11.5052 2.1588
6.5163 6.5163 0.0000
8.0437 1.5274 2.1588
8.7674 10.7815 2.1588
10.7815 4.2652 2.1588
11.5052 8.0437 2.1588
0.1003 10.9590 2.1588
0.8866 7.4029 0.0000
2.0736 0.1003 2.1588
2.1383 2.5989 0.0000
2.5989 10.8943 0.0000
3.9174 4.3780 0.0000
4.3780 9.1152 0.0000
4.4427 6.6166 2.1588
5.6297 0.8866 0.0000
6.4160 4.4427 2.1588
6.6166 8.5899 2.1588
7.4029 12.1460 0.0000
8.5899 6.4160 2.1588
8.6546 3.9174 0.0000
9.1152 8.6546 0.0000
10.4337 2.1383 0.0000
10.8943 10.4337 0.0000
10.9590 12.9323 2.1588
12.1460 5.6297 0.0000
12.9323 2.0736 2.1588
0.2471 9.8218 0.0000
3.2108 0.2471 0.0000
3.3055 6.7634 0.0000
6.2692 3.3055 0.0000
6.7634 9.7271 0.0000
9.7271 6.2692 0.0000
9.8218 12.7855 0.0000
12.7855 3.2108 0.0000
```

Computed properties:
Spin magnetization in μB per formula unit: 0.00
Symmetry: P4/mbm (127)
Energy relative to the elements in eV per atom: -0.62

=====

No. 9
DFT (r²SCAN) results for a relaxed structure of ZrGeOs.

```
ZrGeOs
1.0
6.7370 0.0000 0.0000
-3.3685 5.8344 0.0000
0.0000 0.0000 3.8085
Zr Ge Os
3 3 3
Cartesian
-1.9630 3.4000 0.0000
1.4055 2.4344 0.0000
3.9260 0.0000 0.0000
0.0000 0.0000 0.0000
0.0000 3.8896 1.9042
3.3685 1.9448 1.9042
-0.8248 1.4286 1.9042
1.6496 0.0000 1.9042
2.5437 4.4058 1.9042
```

Computed properties:
Spin magnetization in μB per formula unit: 0.02
Symmetry: P-62m (189)
Energy relative to the elements in eV per atom: -0.71

=====

No. 10
DFT (r²SCAN) results for a relaxed structure of Sr4GeP4.

```
Sr4GeP4
1.0
12.5392 0.0000 0.0000
0.0000 12.5392 0.0000
0.0000 0.0000 12.5392
Sr Ge P
32 8 32
Cartesian
1.2044 1.6620 8.0837
1.2044 10.8772 4.4555
1.6620 4.4555 11.3348
1.6620 8.0837 1.2044
1.8180 1.8180 1.8180
1.8141 4.6076 5.0652
1.8141 7.9316 7.4740
1.8180 10.7212 10.7212
4.4555 1.2044 10.8772
4.4516 4.4516 8.0876
4.4516 8.0876 4.4516
4.4555 11.3348 1.6620
4.6076 5.0652 1.8141
4.6076 7.4740 10.7251
5.0652 1.8141 4.6076
5.0652 10.7251 7.9316
7.4740 1.8141 7.9316
7.4740 10.7251 4.6076
7.9316 5.0652 10.7251
7.9316 7.4740 1.8141
8.0837 1.2044 1.6620
8.0876 4.4516 4.4516
8.0876 8.0876 8.0876
8.0837 11.3348 10.8772
10.7212 1.8180 10.7212
10.7251 4.6076 7.4740
10.7251 7.9316 5.0652
10.7212 10.7212 1.8180
10.8772 4.4555 1.2044
10.8772 8.0837 11.3348
11.3348 1.6620 4.4555
11.3348 10.8772 8.0837
0.0000 0.0000 0.0000
0.0000 6.2696 3.1348
0.0000 6.2696 9.4044
3.1348 0.0000 6.2696
6.2696 3.1348 0.0000
6.2696 6.2696 6.2696
6.2696 9.4044 0.0000
9.4044 0.0000 6.2696
1.3340 4.8017 8.1248
1.3340 7.7376 4.4144
1.3562 1.3562 11.1830
1.3562 11.1830 1.3562
1.4680 4.9356 1.8552
1.4680 7.6036 10.6841
1.8552 1.4680 4.9356
1.8552 11.0713 7.6036
4.4144 1.3340 7.7376
4.4144 11.2052 4.8017
4.8017 4.4144 11.2052
4.8017 8.1248 1.3340
4.9134 4.9134 4.9134
4.9134 7.6258 7.6258
4.9356 1.8552 1.4680
4.9356 10.6841 11.0713
7.6036 1.8552 11.0713
7.6036 10.6841 1.4680
7.6258 4.9134 7.6258
7.6258 7.6258 4.9134
7.7376 4.4144 1.3340
7.7376 8.1248 11.2052
8.1248 1.3340 4.8017
8.1248 11.2052 7.7376
10.6841 1.4680 7.6036
10.6841 11.0713 4.9356
11.0713 4.9356 10.6841
11.0713 7.6036 1.8552
11.1830 1.3562 1.3562
11.1830 11.1830 11.1830
11.2052 4.8017 4.4144
11.2052 7.7376 8.1248
```

Computed properties:
Spin magnetization in μB per formula unit: 0.00
Symmetry: P-43n (218)
Energy relative to the elements in eV per atom: -1.12

=====

No. 11
DFT (r²SCAN) results for a relaxed structure of Sr3Ge2P4.

```
Sr3Ge2P4
1.0
7.4865 0.0000 0.0000
0.0000 18.1903 0.0000
-2.7353 0.0000 6.7480
Sr Ge P
12 8 16
Cartesian
1.5885 3.3558 0.0742
0.2208 5.7394 3.4482
0.5206 1.1645 3.4518
1.8883 7.9307 0.0778
0.5719 10.1551 3.4073
1.9395 17.1304 0.0333
2.8117 1.0599 6.7147
4.1793 8.0353 3.3407
2.8629 10.2597 6.6702
4.2306 17.0258 3.2962
4.5304 12.4509 3.2998
3.1627 14.8346 6.6738
1.5193 11.4182 0.1772
0.1516 15.8673 3.5512
-0.1360 13.4809 6.1314
1.2317 13.8046 2.7574
3.5195 4.3858 3.9906
4.8872 4.7094 0.6166
4.5995 2.3231 3.1968
3.2319 6.7721 6.5708
-1.9910 10.2044 5.1193
-0.6234 17.0811 1.7453
-0.2250 12.4655 1.4730
-1.5927 14.8200 4.8470
3.0158 10.3434 1.5970
1.6482 16.9421 4.9710
1.7415 12.7519 4.8424
3.1092 14.5336 1.4685
1.6420 3.6567 5.2795
3.0096 5.4385 1.9055
3.1030 1.2483 1.7770
1.7353 7.8469 5.1510
6.3438 3.3704 1.9010
4.9762 5.7248 5.2749
5.3745 1.1092 5.0026
6.7422 7.9859 1.6287
```

Computed properties:
Spin magnetization in μB per formula unit: 0.00
Symmetry: P2_1/c (14)
Energy relative to the elements in eV per atom: -0.92

=====

No. 12
DFT (r²SCAN) results for a relaxed structure of PaGe3.

```
PaGe3
1.0
4.2531 0.0000 0.0000
0.0000 4.2531 0.0000
0.0000 0.0000 4.2531
Pa Ge
1 3
Cartesian
0.0000 0.0000 0.0000
0.0000 2.1266 2.1266
2.1266 0.0000 2.1266
2.1266 2.1266 0.0000
```

Computed properties:
Spin magnetization in μB per formula unit: 0.00
Symmetry: Pm-3m (221)
Energy relative to the elements in eV per atom: -0.40

=====

No. 13
DFT (r²SCAN) results for a relaxed structure of GePd.

```
GePd
1.0
5.7836 0.0000 0.0000
0.0000 3.5493 0.0000
0.0000 0.0000 6.2962
Ge Pd
4 4
Cartesian
1.0723 0.8873 0.4899
1.8195 2.6619 3.6380
3.9641 0.8873 2.6582
4.7113 2.6619 5.8063
0.0219 0.8873 4.3506
2.8699 2.6619 1.2025
2.9136 0.8873 5.0936
5.7617 2.6619 1.9456
```

Computed properties:
Spin magnetization in μB per formula unit: 0.00
Symmetry: Pnma (62)
Energy relative to the elements in eV per atom: -0.42

=====

No. 14
DFT (r²SCAN) results for a relaxed structure of GePd5.

```
GePd5
1.0
2.7707 -3.8606 0.0000
2.7707 3.8606 0.0000
-1.1802 0.0000 8.4109
Ge Pd
2 10
Cartesian
1.0139 0.0000 1.7431
3.3473 0.0000 6.6678
2.7707 2.4141 0.0000
2.1987 1.9972 2.7465
0.8174 0.0000 4.2559
2.1625 1.9972 5.6645
0.9022 0.0000 7.1741
3.4590 0.0000 1.2369
2.1987 -1.9972 2.7465
3.5438 0.0000 4.1550
2.1625 -1.9972 5.6645
2.7707 -2.4141 0.0000
```

Computed properties:
Spin magnetization in μB per formula unit: 0.00
Symmetry: C2/m (12)
Energy relative to the elements in eV per atom: -0.31

=====

No. 15
DFT (r²SCAN) results for a relaxed structure of Pm2GePd.

```
Pm2GePd
1.0
0.0000 3.6228 3.6228
3.6228 0.0000 3.6228
3.6228 3.6228 0.0000
Pm Ge Pd
2 1 1
Cartesian
1.8114 1.8114 1.8114
5.4341 5.4341 5.4341
0.0000 0.0000 0.0000
3.6228 3.6228 3.6228
```

Computed properties:
Spin magnetization in μB per formula unit: 0.00
Symmetry: Fm-3m (225)
Energy relative to the elements in eV per atom: -0.81